# 1
{"formula": "Na3HfTiSi2PO12", "functional": "GGA-PBE", "state": "relaxed", "polymorph_energy_ev_per_fu": 0.000, "formation_enthalpy_0k_ev_per_atom": -3.116, "spacegroup": "No. 1", "magmom_total_mub_per_fu": 0.0, "total_energy_ev_per_atom": -7.577, "cell": [[13.0179, 0.0251, -8.7254], [0.0142, 9.0090, -0.0051], [-0.1926, -0.0055, 9.0001]], "species": ["O", "O", "O", "O", "O", "O", "O", "O", "O", "O", "O", "O", "O", "O", "O", "O", "O", "O", "O", "O", "O", "O", "O", "O", "O", "O", "O", "O", "O", "O", "O", "O", "O", "O", "O", "O", "O", "O", "O", "O", "O", "O", "O", "O", "O", "O", "O", "O", "Na", "Na", "Na", "Na", "Na", "Na", "Na", "Na", "Na", "Na", "Na", "Na", "P", "P", "P", "P", "Si", "Si", "Si", "Si", "Si", "Si", "Si", "Si", "Hf", "Hf", "Hf", "Hf", "Ti", "Ti", "Ti", "Ti"], "frac_coords": [[0.4173, 0.3589, 0.7516], [0.1512, 0.6386, 0.4255], [0.4358, 0.4451, 0.0671], [0.8626, 0.3511, 0.5811], [0.1512, 0.5714, 0.7443], [0.7543, 0.8267, 0.7608], [0.2498, 0.3272, 0.7616], [0.6506, 0.8526, 0.9224], [0.5566, 0.5586, 0.9124], [0.5775, 0.3513, 0.7511], [0.6564, 0.0735, 0.7446], [0.7607, 0.3223, 0.7432], [0.0781, 0.8626, 0.7450], [0.8623, 0.6522, 0.0842], [0.0609, 0.0697, 0.9145], [0.6563, 0.9288, 0.2427], [0.2519, 0.1822, 0.2307], [0.5383, 0.1740, 0.0644], [0.5781, 0.6450, 0.2474], [0.2586, 0.8195, 0.7469], [0.7585, 0.6759, 0.2429], [0.9231, 0.8665, 0.7585], [0.3624, 0.1604, 0.0846], [0.3517, 0.0810, 0.7611], [0.4179, 0.6353, 0.2468], [0.3502, 0.9255, 0.2458], [0.4624, 0.8392, 0.9448], [0.1490, 0.4203, 0.2331], [0.9334, 0.0601, 0.5719], [0.0632, 0.9409, 0.4103], [0.4586, 0.1662, 0.4377], [0.1442, 0.3504, 0.9223], [0.9210, 0.1374, 0.2519], [0.9664, 0.3314, 0.9358], [0.6504, 0.1456, 0.4248], [0.3607, 0.8531, 0.5892], [0.5584, 0.4399, 0.4110], [0.0757, 0.1445, 0.2350], [0.8562, 0.4196, 0.2579], [0.9328, 0.9417, 0.0699], [0.8561, 0.5794, 0.7593], [0.7517, 0.1756, 0.2592], [0.0363, 0.6727, 0.0646], [0.0383, 0.3234, 0.5628], [0.9613, 0.6670, 0.4399], [0.2449, 0.6660, 0.2474], [0.5440, 0.8293, 0.5611], [0.4344, 0.5497, 0.5723], [0.8105, 0.0614, 0.7209], [0.2423, 0.7728, 0.9940], [0.3022, 0.4353, 0.2037], [0.7492, 0.7311, 0.5049], [0.5037, 0.1091, 0.7562], [0.7499, 0.2669, 0.0051], [0.0042, 0.6170, 0.7567], [0.2426, 0.2255, 0.4932], [0.5049, 0.8975, 0.2513], [0.3089, 0.5576, 0.7261], [0.0037, 0.3759, 0.2514], [0.8120, 0.9400, 0.2216], [0.4975, 0.4553, 0.7473], [0.9998, 0.9664, 0.7479], [0.4987, 0.5391, 0.2412], [0.9992, 0.0406, 0.2399], [0.1461, 0.3880, 0.7446], [0.6513, 0.8901, 0.7452], [0.1450, 0.6038, 0.2408], [0.3525, 0.1068, 0.2513], [0.8571, 0.6012, 0.2572], [0.3557, 0.8987, 0.7606], [0.8588, 0.3979, 0.7567], [0.6494, 0.1121, 0.2450], [0.6062, 0.2516, 0.5651], [0.6070, 0.7489, 0.0646], [0.3942, 0.7552, 0.4324], [0.1064, 0.7526, 0.5622], [0.8947, 0.7404, 0.9387], [0.3941, 0.2402, 0.9353], [0.1053, 0.2519, 0.0585], [0.8950, 0.2600, 0.4372]]}



# 2
{"formula": "Nd3Si3Ni", "functional": "GGA-PBE", "state": "relaxed", "formation_enthalpy_0k_ev_per_atom": -0.728, "spacegroup": "No. 44", "magmom_total_mub_per_fu": 0.2, "total_energy_ev_per_atom": -5.922, "cell": [[-7.1537, -5.9395, -1.8291], [-9.4265, -0.5814, -0.7759], [8.5681, 3.7157, -1.6064]], "species": ["Nd", "Nd", "Nd", "Si", "Si", "Si", "Ni"], "frac_coords": [[0.0007, 0.0007, 0.0000], [0.1821, 0.6821, 0.5000], [0.8148, 0.3148, 0.5000], [0.4406, 0.4406, 0.0000], [0.3592, 0.8592, 0.5000], [0.6359, 0.1359, 0.5000], [0.5667, 0.5667, 0.0000]]}



# 3
{"formula": "MgTi2O5", "functional": "GGA-PBE", "state": "relaxed", "polymorph_energy_ev_per_fu": 0.000, "formation_enthalpy_0k_ev_per_atom": -3.426, "spacegroup": "No. 63", "total_energy_ev_per_atom": -8.263, "cell": [[1.4759, 4.7544, 1.6969], [-3.8602, -3.4560, 0.9040], [5.5738, -4.3244, 7.2680]], "species": ["O", "O", "O", "O", "O", "O", "O", "O", "O", "O", "Ti", "Ti", "Ti", "Ti", "Mg", "Mg"], "frac_coords": [[0.6865, 0.3135, 0.9375], [0.9539, 0.0461, 0.8871], [0.7836, 0.2164, 0.2500], [0.3135, 0.6865, 0.4375], [0.6865, 0.3135, 0.5625], [0.0461, 0.9539, 0.1129], [0.3135, 0.6865, 0.0625], [0.2164, 0.7836, 0.7500], [0.9539, 0.0461, 0.6129], [0.0461, 0.9539, 0.3871], [0.8673, 0.1327, 0.4326], [0.1327, 0.8673, 0.9326], [0.1327, 0.8673, 0.5674], [0.8673, 0.1327, 0.0674], [0.1956, 0.8044, 0.2500], [0.8044, 0.1956, 0.7500]]}



# 4
{"formula": "PrIn6Cu6", "functional": "GGA-PBE", "state": "relaxed", "formation_enthalpy_0k_ev_per_atom": -0.137, "spacegroup": "No. 71", "magmom_total_mub_per_fu": 0.0, "total_energy_ev_per_atom": -3.667, "cell": [[-2.7971, 4.6195, 4.6558], [2.7971, -4.6195, 4.6558], [2.7971, 4.6195, -4.6558]], "species": ["Cu", "Cu", "Cu", "Cu", "Cu", "Cu", "In", "In", "In", "In", "In", "In", "Pr"], "frac_coords": [[0.5000, 0.0000, 0.0000], [0.0000, 0.0000, 0.5000], [0.5000, 0.5000, 0.5000], [0.0000, 0.5000, 0.0000], [0.2371, 0.5000, 0.7371], [0.7629, 0.5000, 0.2629], [0.3393, 0.0000, 0.3393], [0.6607, 0.0000, 0.6607], [0.6556, 0.6556, 0.0000], [0.8122, 0.3122, 0.5000], [0.3444, 0.3444, 0.0000], [0.1878, 0.6878, 0.5000], [0.0000, 0.0000, 0.0000]]}



# 5
{"formula": "Rb2MnP2S6", "functional": "GGA-PBE", "state": "relaxed", "formation_enthalpy_0k_ev_per_atom": -0.994, "spacegroup": "No. 14", "magmom_total_mub_per_fu": 5.0, "total_energy_ev_per_atom": -4.971, "cell": [[12.5858, 0.0000, 0.0000], [0.0000, 6.1831, 0.0000], [0.0000, 5.1214, 7.6845]], "species": ["S", "S", "S", "S", "S", "S", "S", "S", "S", "S", "S", "S", "Rb", "Rb", "Rb", "Rb", "P", "P", "P", "P", "Mn", "Mn"], "frac_coords": [[0.5751, 0.9661, 0.7597], [0.9319, 0.5512, 0.7468], [0.4249, 0.0339, 0.2403], [0.0681, 0.4488, 0.2532], [0.8354, 0.2782, 0.4525], [0.6646, 0.2782, 0.9525], [0.3354, 0.7218, 0.0475], [0.1646, 0.7218, 0.5475], [0.4319, 0.4488, 0.7532], [0.5681, 0.5512, 0.2468], [0.9249, 0.9661, 0.2597], [0.0751, 0.0339, 0.7403], [0.1738, 0.2036, 0.0254], [0.6738, 0.7964, 0.4746], [0.3262, 0.2036, 0.5254], [0.8262, 0.7964, 0.9746], [0.0398, 0.8453, 0.6238], [0.5398, 0.1547, 0.8762], [0.9602, 0.1547, 0.3762], [0.4602, 0.8453, 0.1238], [0.0000, 0.5000, 0.5000], [0.5000, 0.5000, 0.0000]]}



# 6
{"formula": "TbAlCu", "functional": "GGA-PBE", "state": "relaxed", "formation_enthalpy_0k_ev_per_atom": -0.446, "spacegroup": "No. 189", "total_energy_ev_per_atom": -4.606, "cell": [[-3.1600, -1.6443, -1.9343], [-0.5290, 5.7371, -4.0129], [4.0451, -5.3592, -2.0527]], "species": ["Cu", "Cu", "Cu", "Tb", "Tb", "Tb", "Al", "Al", "Al"], "frac_coords": [[0.5000, 0.0000, 0.0000], [0.0000, 0.6667, 0.3333], [0.0000, 0.3333, 0.6667], [0.5000, 0.5857, 0.5857], [0.5000, 0.0000, 0.4143], [0.5000, 0.4143, 0.0000], [0.0000, 0.2339, 0.2339], [0.0000, 0.7661, 0.0000], [0.0000, 0.0000, 0.7661]]}



# 7
{"formula": "Ca2SnS4", "functional": "GGA-PBE", "state": "relaxed", "polymorph_energy_ev_per_fu": 0.271, "formation_enthalpy_0k_ev_per_atom": -1.640, "spacegroup": "No. 62", "magmom_total_mub_per_fu": 0.0, "total_energy_ev_per_atom": -4.862, "cell": [[7.3378, 0.0000, 0.0000], [0.0000, 8.6857, 0.0000], [0.0000, 0.0000, 10.9772]], "species": ["Sn", "Sn", "Sn", "Sn", "Ca", "Ca", "Ca", "Ca", "Ca", "Ca", "Ca", "Ca", "S", "S", "S", "S", "S", "S", "S", "S", "S", "S", "S", "S", "S", "S", "S", "S"], "frac_coords": [[0.6105, 0.2500, 0.5308], [0.8895, 0.2500, 0.0308], [0.3895, 0.7500, 0.4692], [0.1105, 0.7500, 0.9692], [0.3794, 0.0051, 0.1905], [0.1206, 0.0051, 0.6905], [0.8794, 0.5051, 0.3095], [0.3794, 0.4949, 0.1905], [0.6206, 0.9949, 0.8095], [0.8794, 0.9949, 0.3095], [0.1206, 0.4949, 0.6905], [0.6206, 0.5051, 0.8095], [0.2757, 0.5131, 0.9363], [0.7757, 0.4869, 0.5637], [0.3944, 0.2500, 0.6985], [0.6056, 0.7500, 0.3015], [0.0975, 0.7500, 0.1897], [0.7757, 0.0131, 0.5637], [0.2243, 0.5131, 0.4363], [0.4025, 0.7500, 0.6897], [0.7243, 0.0131, 0.0637], [0.8944, 0.7500, 0.8015], [0.1056, 0.2500, 0.1985], [0.2757, 0.9869, 0.9363], [0.7243, 0.4869, 0.0637], [0.9025, 0.2500, 0.8103], [0.5975, 0.2500, 0.3103], [0.2243, 0.9869, 0.4363]]}



# 8
{"formula": "LiAgF2", "functional": "GGA-PBE", "state": "relaxed", "polymorph_energy_ev_per_fu": 0.112, "formation_enthalpy_0k_ev_per_atom": -2.147, "spacegroup": "No. 31", "piezo_max_c_m2": 0.7, "magmom_total_mub_per_fu": 0.0, "total_energy_ev_per_atom": -4.059, "cell": [[-1.3358, -0.2005, 2.8795], [-4.2907, -1.7911, -2.1152], [2.3161, -6.2992, 0.6359]], "species": ["F", "F", "F", "F", "Ag", "Ag", "Li", "Li"], "frac_coords": [[0.5000, 0.2199, 0.5322], [0.5000, 0.6149, 0.8626], [0.0000, 0.7199, 0.4678], [0.0000, 0.1149, 0.1374], [0.5000, 0.1011, 0.8658], [0.0000, 0.6011, 0.1342], [0.5000, 0.5853, 0.5844], [0.0000, 0.0853, 0.4156]]}



# 9
{"formula": "ZnB3O9", "functional": "GGA-PBE", "state": "relaxed", "polymorph_energy_ev_per_fu": 0.000, "formation_enthalpy_0k_ev_per_atom": -1.442, "spacegroup": "No. 62", "magmom_total_mub_per_fu": 4.7, "total_energy_ev_per_atom": -6.030, "cell": [[-6.0159, 0.5020, 4.5606], [-2.1895, -8.2402, -1.9812], [4.9108, -2.9402, 6.8014]], "species": ["O", "O", "O", "O", "O", "O", "O", "O", "O", "O", "O", "O", "O", "O", "O", "O", "O", "O", "O", "O", "O", "O", "O", "O", "O", "O", "O", "O", "O", "O", "O", "O", "O", "O", "O", "O", "B", "B", "B", "B", "B", "B", "B", "B", "B", "B", "B", "B", "Zn", "Zn", "Zn", "Zn"], "frac_coords": [[0.0482, 0.1713, 0.3829], [0.0482, 0.3287, 0.8829], [0.0903, 0.5777, 0.8009], [0.2500, 0.6897, 0.3421], [0.2500, 0.8103, 0.8421], [0.9518, 0.6713, 0.1171], [0.5903, 0.0777, 0.6991], [0.5482, 0.8287, 0.6171], [0.4518, 0.1713, 0.3829], [0.2500, 0.1273, 0.1711], [0.4097, 0.9223, 0.3009], [0.5482, 0.6713, 0.1171], [0.7500, 0.8727, 0.8289], [0.7500, 0.9239, 0.2135], [0.4521, 0.8974, 0.8751], [0.4518, 0.3287, 0.8829], [0.7500, 0.6273, 0.3289], [0.9521, 0.3974, 0.6249], [0.9518, 0.8287, 0.6171], [0.9097, 0.4223, 0.1991], [0.5479, 0.3974, 0.6249], [0.7500, 0.1897, 0.1579], [0.2500, 0.0761, 0.7865], [0.5479, 0.1026, 0.1249], [0.4097, 0.5777, 0.8009], [0.0903, 0.9223, 0.3009], [0.2500, 0.4239, 0.2865], [0.4521, 0.6026, 0.3751], [0.9097, 0.0777, 0.6991], [0.7500, 0.3103, 0.6579], [0.0479, 0.6026, 0.3751], [0.5903, 0.4223, 0.1991], [0.2500, 0.3727, 0.6711], [0.0479, 0.8974, 0.8751], [0.9521, 0.1026, 0.1249], [0.7500, 0.5761, 0.7135], [0.2500, 0.6490, 0.8152], [0.2500, 0.8510, 0.3152], [0.0798, 0.0829, 0.2510], [0.4202, 0.4171, 0.7510], [0.5798, 0.9171, 0.7490], [0.5798, 0.5829, 0.2490], [0.7500, 0.1490, 0.6848], [0.9202, 0.5829, 0.2490], [0.4202, 0.0829, 0.2510], [0.9202, 0.9171, 0.7490], [0.0798, 0.4171, 0.7510], [0.7500, 0.3510, 0.1848], [0.2500, 0.2087, 0.9652], [0.7500, 0.7913, 0.0348], [0.2500, 0.2913, 0.4652], [0.7500, 0.7087, 0.5348]]}



# 10
{"formula": "RbHSeO4", "functional": "GGA-PBE", "state": "relaxed", "formation_enthalpy_0k_ev_per_atom": -1.506, "spacegroup": "No. 1", "magmom_total_mub_per_fu": 0.0, "total_energy_ev_per_atom": -5.065, "cell": [[-4.6776, 0.0000, 0.0000], [-0.0833, -7.6649, 0.0000], [2.2607, 3.8030, 9.7986]], "species": ["O", "O", "O", "O", "O", "O", "O", "O", "O", "O", "O", "O", "Rb", "Rb", "Rb", "H", "H", "H", "Se", "Se", "Se"], "frac_coords": [[0.0630, 0.0572, 0.8727], [0.0960, 0.2377, 0.5375], [0.0772, 0.5857, 0.7378], [0.7074, 0.8372, 0.9388], [0.9499, 0.1830, 0.1302], [0.9085, 0.6983, 0.4620], [0.2870, 0.8886, 0.0607], [0.5324, 0.5165, 0.6107], [0.9231, 0.8481, 0.2626], [0.4706, 0.3466, 0.7926], [0.5353, 0.5570, 0.2062], [0.4680, 0.9078, 0.3898], [0.5804, 0.2532, 0.3307], [0.9974, 0.4884, 0.0004], [0.4212, 0.9199, 0.6694], [0.8617, 0.5503, 0.6843], [0.1382, 0.8668, 0.3170], [0.4534, 0.8754, 0.0069], [0.9887, 0.9990, 0.9971], [0.3033, 0.4090, 0.6651], [0.6995, 0.7448, 0.3349]]}



# 11
{"formula": "KZnPO4", "functional": "GGA-PBE", "state": "relaxed", "polymorph_energy_ev_per_fu": 0.048, "formation_enthalpy_0k_ev_per_atom": -2.510, "spacegroup": "No. 33", "piezo_max_c_m2": 0.4, "magmom_total_mub_per_fu": 0.0, "total_energy_ev_per_atom": -6.057, "cell": [[5.3571, 0.0000, 0.0000], [0.0000, 8.7739, 0.0000], [0.0000, 0.0000, 9.1772]], "species": ["O", "O", "O", "O", "O", "O", "O", "O", "O", "O", "O", "O", "O", "O", "O", "O", "K", "K", "K", "K", "P", "P", "P", "P", "Zn", "Zn", "Zn", "Zn"], "frac_coords": [[0.3946, 0.2776, 0.2879], [0.0433, 0.4648, 0.9086], [0.8660, 0.7461, 0.4385], [0.0433, 0.9648, 0.5914], [0.8946, 0.2224, 0.7879], [0.8946, 0.7224, 0.7121], [0.2907, 0.7220, 0.5555], [0.3946, 0.7776, 0.2121], [0.5433, 0.0352, 0.4086], [0.3660, 0.7539, 0.9385], [0.2907, 0.2220, 0.9445], [0.8660, 0.2461, 0.0615], [0.7907, 0.7780, 0.0555], [0.7907, 0.2780, 0.4445], [0.3660, 0.2539, 0.5615], [0.5433, 0.5352, 0.0914], [0.5268, 0.9971, 0.7759], [0.0268, 0.5029, 0.2759], [0.0268, 0.0029, 0.2241], [0.5268, 0.4971, 0.7241], [0.0233, 0.2909, 0.9247], [0.0233, 0.7909, 0.5753], [0.5233, 0.2091, 0.4247], [0.5233, 0.7091, 0.0753], [0.5197, 0.8118, 0.4107], [0.0197, 0.6882, 0.9107], [0.5197, 0.3118, 0.0893], [0.0197, 0.1882, 0.5893]]}



# 12
{"formula": "GdSi2Pt2", "functional": "GGA-PBE", "state": "relaxed", "formation_enthalpy_0k_ev_per_atom": -1.003, "spacegroup": "No. 139", "magmom_total_mub_per_fu": 6.9, "total_energy_ev_per_atom": -8.417, "cell": [[5.8507, 0.3120, 0.1151], [2.4993, 3.9604, 3.5228], [-4.1110, -4.1563, 0.4067]], "species": ["Gd", "Si", "Si", "Pt", "Pt"], "frac_coords": [[0.0000, 0.0000, 0.0000], [0.7500, 0.2500, 0.5000], [0.2500, 0.7500, 0.5000], [0.6340, 0.6340, 0.0000], [0.3660, 0.3660, 0.0000]]}



# 13
{"formula": "NpN", "functional": "GGA-PBE", "state": "relaxed", "formation_enthalpy_0k_ev_per_atom": -0.660, "spacegroup": "No. 221", "magmom_total_mub_per_fu": 3.8, "total_energy_ev_per_atom": -11.122, "cell": [[2.9947, 0.0000, 0.0000], [0.0000, 2.9947, 0.0000], [0.0000, 0.0000, 2.9947]], "species": ["Np", "N"], "frac_coords": [[0.0000, 0.0000, 0.0000], [0.5000, 0.5000, 0.5000]]}



# 14
{"formula": "Li2PdPb", "functional": "GGA-PBE", "state": "relaxed", "formation_enthalpy_0k_ev_per_atom": -0.437, "spacegroup": "No. 216", "total_energy_ev_per_atom": -3.614, "cell": [[-3.2789, 0.0000, -3.2789], [3.2789, -3.2789, 0.0000], [-3.2789, -3.2789, 0.0000]], "species": ["Pb", "Pd", "Li", "Li"], "frac_coords": [[0.0000, 0.0000, 0.0000], [0.5000, 0.2500, 0.2500], [0.0000, 0.5000, 0.5000], [0.5000, 0.7500, 0.7500]]}